# Ca3InN3

Ca3InN3 after structural relaxation (PBE, the Materials Project).

Summary:
ΔE_f	-0.7143	eV/atom
M_tot	0.0	μB/cell

```
Ca3InN3
1.0
-0.993 -6.616 3.337
0.509 0.390 -7.453
5.043 -0.599 0.313
Ca In N
6 2 6
Direct
0.934 0.661 0.250 Ca
0.727 0.066 0.250 Ca
0.339 0.273 0.250 Ca
0.066 0.339 0.750 Ca
0.273 0.934 0.750 Ca
0.661 0.727 0.750 Ca
0.667 0.333 0.750 In
0.333 0.667 0.250 In
0.933 0.633 0.750 N
0.700 0.067 0.750 N
0.367 0.300 0.750 N
0.067 0.367 0.250 N
0.300 0.933 0.250 N
0.633 0.700 0.250 N
```

***

# Ca19In8N7

Ca19In8N7 after structural relaxation (PBE, the Materials Project).

Summary:
ΔE_f	-0.7634	eV/atom

```
Ca19In8N7
1.0
0.000 7.382 7.382
7.382 0.000 7.382
7.382 7.382 0.000
Ca In N
19 8 7
Direct
0.173 0.500 0.827 Ca
0.500 0.827 0.173 Ca
0.827 0.173 0.500 Ca
0.167 0.833 0.167 Ca
0.827 0.500 0.173 Ca
0.173 0.827 0.500 Ca
0.167 0.167 0.833 Ca
0.173 0.500 0.500 Ca
0.833 0.833 0.167 Ca
0.833 0.167 0.833 Ca
0.500 0.827 0.500 Ca
0.500 0.500 0.500 Ca
0.500 0.500 0.173 Ca
0.167 0.833 0.833 Ca
0.500 0.173 0.827 Ca
0.500 0.173 0.500 Ca
0.827 0.500 0.500 Ca
0.833 0.167 0.167 Ca
0.500 0.500 0.827 Ca
0.175 0.175 0.476 In
0.825 0.524 0.825 In
0.476 0.175 0.175 In
0.175 0.476 0.175 In
0.524 0.825 0.825 In
0.175 0.175 0.175 In
0.825 0.825 0.825 In
0.825 0.825 0.524 In
0.674 0.326 0.674 N
0.674 0.326 0.326 N
0.326 0.674 0.674 N
0.326 0.674 0.326 N
0.326 0.326 0.674 N
0.674 0.674 0.326 N
0.000 0.000 0.000 N
```